1.
# K3BiO3 | the Materials Project database | PBE | optimized geometry
data_K3BiO3
_cell_length_a 9.4310
_cell_length_b 9.4310
_cell_length_c 9.4310
_cell_angle_alpha 109.47
_cell_angle_beta 109.47
_cell_angle_gamma 109.47
_symmetry_space_group_name_H-M 'P 1'
_symmetry_Int_Tables_number 1
_symmetry_space_group_name_Hall 'P 1'
loop_
_atom_site_label
_atom_site_type_symbol
_atom_site_fract_x
_atom_site_fract_y
_atom_site_fract_z
K1 K 0.7307 0.7307 0.2456
K2 K 0.0000 0.5149 0.2693
K3 K 0.4851 0.7544 0.4851
K4 K 0.7544 0.4851 0.4851
K5 K 0.0000 0.2693 0.5149
K6 K 0.7307 0.2456 0.7307
K7 K 0.5149 0.2693 0.0000
K8 K 0.5149 0.0000 0.2693
K9 K 0.2456 0.7307 0.7307
K10 K 0.4851 0.4851 0.7544
K11 K 0.2693 0.0000 0.5149
K12 K 0.2693 0.5149 0.0000
O1 O 0.2099 0.2099 0.7382
O2 O 0.7382 0.2099 0.2099
O3 O 0.0000 0.5283 0.7901
O4 O 0.2618 0.4717 0.4717
O5 O 0.5283 0.0000 0.7901
O6 O 0.2099 0.7382 0.2099
O7 O 0.4717 0.2618 0.4717
O8 O 0.7901 0.5283 0.0000
O9 O 0.5283 0.7901 0.0000
O10 O 0.4717 0.4717 0.2618
O11 O 0.0000 0.7901 0.5283
O12 O 0.7901 0.0000 0.5283
Bi1 Bi 0.7037 0.0000 0.0000
Bi2 Bi 0.0000 0.0000 0.7037
Bi3 Bi 0.0000 0.7037 0.0000
Bi4 Bi 0.2963 0.2963 0.2963
# - theoretical density (g cm⁻³) = 3.85
# - formation energy (eV per atom) = -1.68
# - symmetry = No. 217
# - crystal system = cubic
# - calculated total energy (eV/atom) = -4.542


2.
# K8BiO3 | the Materials Project database | PBE | optimized geometry
data_K8BiO3
_cell_length_a 7.0972
_cell_length_b 7.0972
_cell_length_c 7.0972
_cell_angle_alpha 90.00
_cell_angle_beta 90.00
_cell_angle_gamma 90.00
_symmetry_space_group_name_H-M 'P 1'
_symmetry_Int_Tables_number 1
_symmetry_space_group_name_Hall 'P 1'
loop_
_atom_site_label
_atom_site_type_symbol
_atom_site_fract_x
_atom_site_fract_y
_atom_site_fract_z
K1 K 0.2707 0.7293 0.2707
K2 K 0.2707 0.2707 0.7293
K3 K 0.2707 0.2707 0.2707
K4 K 0.7293 0.7293 0.7293
K5 K 0.2707 0.7293 0.7293
K6 K 0.7293 0.2707 0.2707
K7 K 0.7293 0.7293 0.2707
K8 K 0.7293 0.2707 0.7293
Bi1 Bi 0.0000 0.0000 0.0000
O1 O 0.5000 0.5000 0.0000
O2 O 0.0000 0.5000 0.5000
O3 O 0.5000 0.0000 0.5000
# - theoretical density (g cm⁻³) = 2.65
# - formation energy (eV per atom) = -0.82
# - symmetry = No. 221
# - crystal system = cubic
# - calculated total energy (eV/atom) = -2.953


3.
# K3Bi5P6O24 | the Materials Project database | PBE | optimized geometry
data_K3Bi5P6O24
_cell_length_a 9.5921
_cell_length_b 9.5921
_cell_length_c 18.8980
_cell_angle_alpha 68.44
_cell_angle_beta 68.44
_cell_angle_gamma 43.16
_symmetry_space_group_name_H-M 'P 1'
_symmetry_Int_Tables_number 1
_symmetry_space_group_name_Hall 'P 1'
loop_
_atom_site_label
_atom_site_type_symbol
_atom_site_fract_x
_atom_site_fract_y
_atom_site_fract_z
P1 P 0.3183 0.1127 0.6512
P2 P 0.4569 0.2833 0.9088
P3 P 0.0088 0.8463 0.1182
P4 P 0.8463 0.0088 0.6182
P5 P 0.1127 0.3183 0.1512
P6 P 0.6817 0.8873 0.3488
P7 P 0.2833 0.4569 0.4088
P8 P 0.7167 0.5431 0.5912
P9 P 0.1537 0.9912 0.3818
P10 P 0.8873 0.6817 0.8488
P11 P 0.5431 0.7167 0.0912
P12 P 0.9912 0.1537 0.8818
K1 K 0.6869 0.3131 0.2500
K2 K 0.3229 0.5215 0.5699
K3 K 0.5215 0.3229 0.0699
K4 K 0.3131 0.6869 0.7500
K5 K 0.6771 0.4785 0.4301
K6 K 0.4785 0.6771 0.9301
Bi1 Bi 0.1668 0.3840 0.2956
Bi2 Bi 0.1473 0.8527 0.2500
Bi3 Bi 0.7636 0.9620 0.4715
Bi4 Bi 0.0380 0.2364 0.0285
Bi5 Bi 0.8527 0.1473 0.7500
Bi6 Bi 0.8332 0.6160 0.7044
Bi7 Bi 0.6160 0.8332 0.2044
Bi8 Bi 0.9620 0.7636 0.9715
Bi9 Bi 0.3840 0.1668 0.7956
Bi10 Bi 0.2364 0.0380 0.5285
O1 O 0.8675 0.3141 0.8131
O2 O 0.1773 0.0761 0.6619
O3 O 0.3710 0.8666 0.0428
O4 O 0.9509 0.0458 0.1187
O5 O 0.2968 0.5399 0.3179
O6 O 0.6926 0.4929 0.0754
O7 O 0.7534 0.1352 0.5430
O8 O 0.2011 0.0906 0.8702
O9 O 0.5240 0.0504 0.2909
O10 O 0.3141 0.8675 0.3131
O11 O 0.6859 0.1325 0.6869
O12 O 0.8648 0.2466 0.9570
O13 O 0.8070 0.6746 0.3268
O14 O 0.8666 0.3710 0.5428
O15 O 0.1930 0.3254 0.6732
O16 O 0.0761 0.1773 0.1619
O17 O 0.6290 0.1334 0.9572
O18 O 0.5399 0.2968 0.8179
O19 O 0.2466 0.8648 0.4570
O20 O 0.2137 0.3469 0.4154
O21 O 0.9094 0.7989 0.6298
O22 O 0.4182 0.1018 0.5657
O23 O 0.0504 0.5240 0.7909
O24 O 0.7032 0.4601 0.6821
O25 O 0.8982 0.5818 0.9343
O26 O 0.0906 0.2011 0.3702
O27 O 0.9239 0.8227 0.8381
O28 O 0.0491 0.9542 0.8813
O29 O 0.1352 0.7534 0.0430
O30 O 0.8227 0.9239 0.3381
O31 O 0.3074 0.5071 0.9246
O32 O 0.4929 0.6926 0.5754
O33 O 0.3254 0.1930 0.1732
O34 O 0.1325 0.6859 0.1869
O35 O 0.5071 0.3074 0.4246
O36 O 0.6746 0.8070 0.8268
O37 O 0.0458 0.9509 0.6187
O38 O 0.4760 0.9496 0.7091
O39 O 0.1334 0.6290 0.4572
O40 O 0.3469 0.2137 0.9154
O41 O 0.6531 0.7863 0.0846
O42 O 0.4601 0.7032 0.1821
O43 O 0.7989 0.9094 0.1298
O44 O 0.7863 0.6531 0.5846
O45 O 0.5818 0.8982 0.4343
O46 O 0.1018 0.4182 0.0657
O47 O 0.9542 0.0491 0.3813
O48 O 0.9496 0.4760 0.2091
# - theoretical density (g cm⁻³) = 5.26
# - formation energy (eV per atom) = -2.46
# - symmetry = No. 15
# - crystal system = monoclinic
# - calculated total energy (eV/atom) = -6.606